# 1
Compound: CaFe4As3
Source: the Materials Project
Functional: GGA-PBE
Structure: optimized geometry

Structure (extended XYZ):
```
32
Lattice="-0.290 -1.644 -3.352 0.479 -10.195 4.957 -11.856 -0.047 1.048" Properties=species:S:1:pos:R:3 pbc="T T T"
Ca -9.916 -1.130 0.365
Ca -1.751 -10.757 2.288
Ca -7.854 -7.041 0.994
Ca -3.812 -4.845 1.659
Fe -9.313 -8.353 3.855
Fe -2.353 -3.534 -1.201
Fe -8.257 -4.071 -0.427
Fe -3.409 -7.815 3.081
Fe -9.461 -4.235 1.849
Fe -2.206 -7.651 0.805
Fe -8.017 -10.149 2.532
Fe -3.649 -1.737 0.121
Fe -0.086 -3.640 0.747
Fe -11.581 -8.246 1.907
Fe -5.589 -9.582 2.044
Fe -6.077 -2.304 0.609
Fe -0.621 -5.909 1.905
Fe -11.045 -5.977 0.748
Fe -5.319 -1.651 -1.868
Fe -6.347 -10.236 4.522
As -10.152 -6.319 2.930
As -1.515 -5.568 -0.276
As -7.610 -2.031 -1.484
As -4.057 -9.855 4.137
As -6.960 -8.188 3.571
As -4.707 -3.698 -0.917
As -10.625 -3.926 -0.294
As -1.041 -7.961 2.948
As -7.041 -4.246 1.645
As -4.626 -7.640 1.009
As -10.436 -10.180 2.756
As -1.231 -1.707 -0.103
```

ΔH_f (0 K) = -347 meV/atom

---

# 2
Compound: CaFe2As2
Source: the Materials Project
Functional: GGA-PBE
Structure: optimized geometry

Structure (extended XYZ):
```
10
Lattice="0.000 0.000 5.460 5.800 2.795 0.000 0.000 5.590 0.000" Properties=species:S:1:pos:R:3 pbc="T T T"
Ca 0.000 2.795 2.730
Ca 0.000 5.590 5.460
Fe 2.900 1.397 1.365
Fe 2.900 1.397 4.095
Fe 2.900 4.193 4.095
Fe 2.900 4.193 1.365
As 4.235 2.794 2.730
As 4.235 5.590 5.459
As 1.565 2.795 5.459
As 1.565 5.591 2.730
```

ΔH_f (0 K) = -535 meV/atom

---

# 3
Compound: Ca5Fe4As9Pt3
Source: the Materials Project
Functional: GGA-PBE
Structure: optimized geometry

Structure (extended XYZ):
```
42
Lattice="8.463 0.004 -2.790 -0.449 8.771 -1.382 -0.174 -0.076 10.933" Properties=species:S:1:pos:R:3 pbc="T T T"
Ca 3.617 0.898 6.810
Ca 4.223 7.801 -0.049
Ca 5.166 6.085 5.585
Ca 2.674 2.615 1.177
Ca -0.055 7.887 6.799
Ca 7.895 0.812 -0.037
Ca 1.788 4.368 6.865
Ca 6.052 4.331 -0.103
Ca 6.979 2.586 5.415
Ca 0.861 6.114 1.347
Fe 4.553 1.301 3.738
Fe 3.287 7.399 3.024
Fe 7.797 3.070 2.344
Fe 0.042 5.629 4.418
Fe 5.874 6.536 2.335
Fe 1.965 2.164 4.426
Fe 2.632 4.737 3.726
Fe 5.208 3.962 3.036
As 0.757 1.703 6.377
As 7.083 6.996 0.385
As 2.167 6.620 4.969
As 5.673 2.079 1.793
As 7.241 5.028 3.523
As 0.599 3.671 3.239
As 1.025 4.337 -0.920
As 6.815 4.362 7.681
As 5.267 8.434 3.639
As 2.572 0.265 3.122
As 0.086 1.267 -0.029
As 7.754 7.432 6.791
As 3.089 0.116 -0.836
As 4.751 8.583 7.598
As 3.991 3.267 4.923
As 3.849 5.432 1.839
As 4.041 3.155 -1.749
As 3.799 5.544 8.511
Pt 1.766 6.597 -1.722
Pt 6.074 2.103 8.484
Pt 6.250 6.718 -2.413
Pt 1.590 1.982 9.174
Pt 0.754 8.291 3.719
Pt 7.086 0.408 3.042
```

ΔH_f (0 K) = -701 meV/atom

---

# 4
Compound: SrCa2Fe6As6
Source: the Materials Project
Functional: GGA-PBE
Structure: optimized geometry

Structure (extended XYZ):
```
15
Lattice="-3.997 -3.997 0.000 1.991 -1.991 5.366 -6.003 2.006 5.380" Properties=species:S:1:pos:R:3 pbc="T T T"
Sr 0.000 0.000 0.000
Ca -2.016 -1.981 5.366
Ca -5.993 -2.002 5.380
Fe -4.001 -2.000 8.050
Fe -2.002 -3.994 2.683
Fe -2.014 0.011 2.697
Fe -0.003 -1.995 2.683
Fe -4.008 -1.983 2.697
Fe -5.995 -3.994 8.050
As -3.999 0.001 6.897
As -2.007 -1.990 1.531
As -4.010 -3.984 6.871
As -6.002 -1.993 9.216
As -4.010 -3.985 3.850
As -3.999 0.001 3.876
```

ΔH_f (0 K) = -523 meV/atom

---

# 5
Compound: Ca14GaAs11
Source: the Materials Project
Functional: GGA-PBE
Structure: optimized geometry

Structure (extended XYZ):
```
104
Lattice="-7.857 7.857 10.636 7.857 -7.857 10.636 7.857 7.857 -10.636" Properties=species:S:1:pos:R:3 pbc="T T T"
Ca -0.373 9.860 2.512
Ca -0.373 2.002 2.806
Ca 5.030 5.414 -0.678
Ca 8.230 5.855 -7.830
Ca 5.030 -2.443 5.996
Ca 2.775 -0.690 14.981
Ca 2.327 3.929 -2.659
Ca 3.929 5.530 2.659
Ca 2.443 2.827 0.678
Ca 7.167 -2.775 9.663
Ca 0.690 2.775 6.291
Ca 5.855 0.373 8.124
Ca 10.300 5.030 0.678
Ca 10.632 -0.690 0.973
Ca 10.300 -2.827 4.640
Ca 7.167 2.775 -0.973
Ca 10.184 3.929 -2.659
Ca 5.082 7.167 -6.291
Ca 7.485 5.855 2.806
Ca 5.855 8.230 -2.806
Ca -0.373 5.855 13.148
Ca -3.929 5.530 13.295
Ca 11.786 2.327 2.659
Ca 2.827 2.443 9.957
Ca 5.855 7.485 7.830
Ca 5.414 5.030 11.314
Ca 0.373 5.855 2.512
Ca -2.443 5.030 4.640
Ca -2.327 3.929 7.977
Ca 10.684 2.443 5.996
Ca 0.690 5.082 9.663
Ca 8.547 2.775 9.663
Ca -2.827 10.300 5.996
Ca 2.827 5.414 5.996
Ca 5.082 0.690 0.973
Ca 8.547 5.082 6.291
Ca -5.030 5.414 9.957
Ca -0.690 2.775 16.926
Ca 5.082 -0.690 11.608
Ca 5.082 8.547 4.345
Ca 2.002 -0.373 7.830
Ca 0.373 2.002 13.441
Ca 2.443 10.684 4.640
Ca -2.002 7.485 8.124
Ca 2.002 0.373 18.466
Ca 5.530 3.929 7.977
Ca 12.887 2.443 -0.678
Ca 8.230 2.002 2.512
Ca 2.775 8.547 0.973
Ca 2.002 8.230 8.124
Ca 2.002 7.485 -2.512
Ca 2.775 0.690 4.345
Ca 5.414 2.827 4.640
Ca -2.443 2.827 11.314
Ca 7.167 5.082 -4.345
Ca 3.929 2.327 13.295
Ga 7.857 0.000 5.318
Ga 0.000 7.857 5.318
Ga 0.000 0.000 0.000
Ga 0.000 0.000 10.636
As 4.322 5.820 -3.658
As -2.038 3.535 14.294
As 2.038 4.322 12.295
As 7.797 2.143 6.737
As 2.143 0.060 12.055
As 3.535 5.820 8.976
As 0.000 7.857 0.000
As -2.143 7.917 3.898
As 4.322 -2.038 8.976
As 7.797 5.714 9.216
As 5.756 2.101 10.636
As -4.322 5.820 6.977
As 2.038 11.393 1.660
As -0.060 5.714 6.737
As 2.143 -0.060 1.419
As 13.571 0.060 1.419
As 9.895 4.322 3.658
As 2.101 5.756 0.000
As 2.143 7.797 3.898
As 5.756 5.756 5.318
As 5.714 7.797 1.419
As 0.000 0.000 5.318
As 7.917 -5.714 9.216
As 4.322 9.895 6.977
As 0.060 10.001 6.737
As -0.060 2.143 9.216
As 5.820 -3.535 12.295
As -2.038 12.179 3.658
As -2.101 2.101 5.318
As 7.917 -2.143 6.737
As 4.322 2.038 -1.660
As 7.857 0.000 0.000
As -2.101 5.756 10.636
As 9.958 2.101 0.000
As 3.535 2.038 6.977
As 0.000 0.000 15.953
As 2.101 2.101 15.953
As 5.820 3.535 1.660
As 2.038 3.535 3.658
As 2.101 -2.101 5.318
As 3.535 9.895 -1.660
As 10.001 0.060 3.898
As 7.917 5.714 -1.419
As 5.714 -0.060 3.898
```

ΔH_f (0 K) = -1148 meV/atom

---

# 6
Compound: Ca3Ge2As4
Source: the Materials Project
Functional: GGA-PBE
Structure: optimized geometry

Structure (extended XYZ):
```
36
Lattice="-8.573 15.770 -2.341 -3.250 -0.799 6.519 3.991 2.973 5.413" Properties=species:S:1:pos:R:3 pbc="T T T"
Ca 2.440 3.107 3.974
Ca -5.343 9.159 3.260
Ca -10.273 14.838 5.617
Ca -2.489 8.786 6.331
Ca -1.107 1.380 4.528
Ca -1.894 11.067 2.679
Ca -6.725 16.565 5.063
Ca -5.938 6.878 6.912
Ca -0.113 4.809 7.158
Ca -8.200 10.631 6.004
Ca -7.719 13.136 2.432
Ca 0.368 7.314 3.586
Ge -2.826 4.568 4.903
Ge -6.781 13.253 7.906
Ge -5.006 13.377 4.688
Ge -1.051 4.692 1.684
Ge -3.942 11.812 6.272
Ge -3.402 1.847 7.155
Ge -3.890 6.133 3.319
Ge -4.430 16.098 2.435
As -0.468 4.401 4.093
As -4.793 12.203 2.497
As -7.364 13.544 5.498
As -3.039 5.742 7.094
As -3.484 4.806 1.224
As -3.815 15.548 4.810
As -4.348 13.139 8.367
As -4.017 2.397 4.781
As -1.337 0.724 1.548
As -1.591 11.589 5.679
As -6.495 17.221 8.043
As -6.241 6.356 3.912
As -0.976 1.947 7.493
As -5.321 9.785 6.220
As -6.856 15.997 2.097
As -2.511 8.160 3.371
```

ΔH_f (0 K) = -777 meV/atom

---

# 7
Compound: Ca2MgAs2H4O10
Source: the Materials Project
Functional: GGA-PBE
Structure: optimized geometry

Structure (extended XYZ):
```
38
Lattice="-5.488 0.478 1.617 0.113 -0.190 -5.863 -1.018 -13.051 0.404" Properties=species:S:1:pos:R:3 pbc="T T T"
Ca -1.325 -1.619 -2.870
Ca -5.069 -11.144 -0.972
Ca -2.069 -8.102 -1.882
Ca -4.325 -4.661 -1.960
Mg 0.000 0.000 0.000
Mg -3.253 -6.286 1.010
As -0.722 -4.961 -1.009
As -5.672 -7.802 -2.833
As -3.192 -11.418 -3.537
As -3.202 -1.345 -0.305
H -0.802 -10.370 -0.266
H -5.592 -2.393 -3.576
H -2.936 -3.758 -4.350
H -3.458 -9.005 0.508
H -1.915 -4.609 -3.507
H -4.479 -8.154 -0.335
H -1.946 -11.102 -1.060
H -4.447 -1.661 -2.782
O -1.856 -0.394 -0.835
O -4.538 -12.369 -3.007
O -1.364 -7.101 -3.986
O -5.029 -5.662 0.144
O -2.798 -2.260 -4.651
O -3.596 -10.503 0.809
O -0.704 -8.852 -0.058
O -5.689 -3.910 -3.784
O -2.266 -5.745 -0.892
O -4.127 -7.017 -2.950
O -1.788 -12.438 -3.598
O -4.606 -0.325 -0.244
O -3.561 -8.091 0.052
O -2.833 -4.672 -3.894
O -5.346 -1.480 -3.177
O -1.047 -11.283 -0.665
O -0.693 -3.901 -2.375
O -5.700 -8.861 -1.467
O -3.049 -10.285 -2.238
O -3.345 -2.478 -1.604
```

ΔH_f (0 K) = -2216 meV/atom